(1)
Below is a geometry-optimized Li2MnVP4O14 structure, with properties calculated at the GGA+U level.

The structure in extended XYZ format:
```
44
Lattice="7.0600 0.0000 0.0000 0.0000 8.3027 0.0000 -3.1414 0.0000 9.1923" Properties=species:S:1:pos:R:3 pbc="T T T"
Li 0.1620 0.0000 3.0919
Li -1.3982 8.2931 7.7181
Li 5.3168 4.1417 1.4742
Li 3.7567 4.1514 6.1004
Mn -1.0637 5.2898 7.8727
Mn 4.9823 1.1384 1.3196
V 0.4809 5.3093 3.2821
V 3.4377 1.1579 5.9102
P -2.8615 2.6359 8.7359
P -1.2607 2.6469 4.1350
P 2.4507 3.5387 1.3127
P 0.8952 3.5197 5.9187
P 3.0234 7.6711 3.2736
P 1.4680 7.6901 7.8796
P 5.1793 6.7982 5.0573
P 6.7801 6.7872 0.4564
O -0.3508 8.1330 1.1596
O -1.1264 4.0059 3.4408
O -0.3705 5.6048 1.4315
O -1.9279 5.6147 6.0349
O -0.6672 6.7751 4.1190
O -2.2101 6.7353 8.6963
O 1.6183 2.4465 0.4434
O 0.0562 2.4265 5.0417
O 1.5836 3.8801 2.5231
O 0.0667 3.8484 7.1587
O 1.7326 6.9318 2.9259
O 0.1789 7.0072 7.4672
O 2.7410 4.7843 0.4500
O 1.1923 4.7574 5.0725
O 2.7263 0.6060 4.1198
O 1.1776 0.6329 8.7423
O 2.1860 2.7805 6.2664
O 3.7397 2.8559 1.7251
O 3.8519 7.9998 2.0336
O 2.3350 8.0315 6.6692
O 3.8624 6.5778 4.1506
O 2.3003 6.5979 8.7489
O 6.1287 2.5839 0.4960
O 4.5859 2.6238 5.0733
O 5.8465 1.4634 3.1574
O 4.2891 1.4534 7.7608
O 5.0450 8.1573 5.7515
O 4.2694 3.9816 8.0327
```

As for the crystal system: monoclinic. The energy of formation from the pure elements is -2.653 eV/atom. As for the distance to the lowest polymorph of the same formula: 1.15 kJ/mol of atoms. The total energy comes out at -316.7 eV/cell.


(2)
Below is a geometry-optimized Li3MnVP3O12 structure, with properties calculated at the GGA+U level.

The structure in extended XYZ format:
```
80
Lattice="8.4209 0.0000 0.0000 4.0614 7.9425 0.0000 0.0919 4.3330 14.1220" Properties=species:S:1:pos:R:3 pbc="T T T"
Li 0.0000 0.0000 0.0000
Li 1.2825 3.0935 2.2908
Li 0.2880 1.6093 5.2182
Li 1.6826 4.3528 6.5464
Li 3.8611 0.8552 2.7650
Li 5.2544 3.5940 4.1314
Li 8.2899 10.0838 7.0301
Li 5.5827 5.2399 9.4065
Li 8.5756 11.6957 12.2661
Li 5.9743 6.5402 13.6557
Li 12.1921 10.9451 9.8667
Li 9.5097 5.8007 11.2078
Mn 2.7134 5.7676 3.5784
Mn 6.9566 7.9463 10.6893
Mn 6.9703 2.2023 2.2177
Mn 11.1456 9.5773 12.8123
V 2.7946 4.4033 9.2852
V 2.7546 0.8596 0.0869
V 6.8999 7.3611 5.7360
V 6.9962 2.9667 7.1426
P 5.1033 8.0275 2.9406
P 5.6658 10.8229 12.0259
P 5.6583 9.5465 7.9238
P 4.0197 6.7242 11.4738
P 3.9524 3.6212 1.4516
P 4.5146 5.1073 6.4892
P 9.3249 10.1927 9.9366
P 9.8122 7.3839 0.7987
P 9.8419 8.6066 4.9560
P 8.1779 4.5308 4.4287
P 8.2115 5.7563 8.4740
P 8.8050 7.3227 13.5020
O 0.2456 1.3913 3.2523
O 1.2558 6.0216 13.2091
O 4.2100 10.0772 8.1278
O 4.2544 10.9048 12.6933
O 1.4200 3.6722 10.6550
O 3.5610 8.1445 11.7013
O 3.5646 4.6378 0.4168
O 4.3333 6.7637 3.3202
O 3.0017 5.9625 10.5680
O 3.2537 4.9726 5.6490
O 5.4744 7.9958 1.4351
O 2.9551 2.3768 1.4499
O 3.7989 4.1757 2.9189
O 5.8076 8.9728 6.4715
O 2.5844 2.8455 7.9384
O 6.6931 11.5873 12.9021
O 4.2083 5.1871 8.0043
O 6.3815 8.1136 3.8485
O 5.3351 6.3701 6.0820
O 6.0300 8.5331 8.9668
O 6.1209 9.4050 11.7971
O 4.2210 5.9197 12.8136
O 5.4285 6.6599 10.7814
O 5.3742 3.0970 1.2302
O 4.3886 3.5410 10.2397
O 5.3887 3.8307 6.1772
O 8.3636 7.9323 1.0335
O 8.4468 8.6105 5.6996
O 5.5038 1.4881 3.6686
O 7.7590 5.9870 4.7257
O 7.7771 6.7699 7.4120
O 8.5618 8.9295 10.3457
O 7.1126 3.8626 3.5667
O 9.6490 10.1461 8.4117
O 7.5375 7.1434 12.6333
O 7.2138 4.5282 8.4449
O 9.9914 11.1302 13.4734
O 8.1026 6.3173 9.9057
O 6.7374 0.6601 0.7711
O 10.6043 10.3682 10.7542
O 8.3965 3.0510 0.8749
O 10.8774 9.3518 5.8513
O 9.5546 8.5763 13.0375
O 10.1676 6.3824 1.8624
O 8.3776 3.7326 5.7826
O 10.3142 7.1890 4.6985
O 9.5707 4.4853 3.7419
O 9.6591 5.2493 8.2232
```

As for the crystal system: triclinic. The energy of formation from the pure elements is -2.637 eV/atom. As for the distance to the lowest polymorph of the same formula: 1.74 kJ/mol of atoms. The total energy comes out at -562.9 eV/cell.


(3)
Below is a geometry-optimized Li3MnVP3O12 structure, with properties calculated at the GGA+U level.

The structure in extended XYZ format:
```
80
Lattice="8.6561 0.0000 0.0000 4.1900 7.6033 0.0000 3.9953 -2.0603 14.4500" Properties=species:S:1:pos:R:3 pbc="T T T"
Li 0.0000 0.0000 0.0000
Li 4.1091 2.7530 7.2959
Li 1.7471 0.4983 3.4738
Li 5.8496 3.1685 10.6446
Li 7.0339 0.1192 8.3105
Li 7.1717 4.9908 1.0985
Li 8.5046 3.5861 6.0388
Li 8.4186 -1.2938 13.2906
Li 10.2014 6.7996 5.2897
Li 10.1787 1.9190 12.4965
Li 11.4349 3.5496 3.2388
Li 11.3502 -1.2874 10.4467
Mn 3.5333 -0.2619 6.9720
Mn 7.6915 2.5137 14.1643
Mn 4.3304 0.0158 1.8861
Mn 7.8800 2.1626 3.4119
V 8.3963 2.7272 9.1022
V 12.0329 4.9170 10.6133
V 12.7689 5.2189 5.3990
V 12.7404 0.3744 12.6166
P 5.9187 4.8513 8.3433
P 1.9391 2.0561 1.0913
P 4.6212 1.8137 4.6541
P 8.8028 4.5858 11.8344
P 7.3116 5.4691 4.1643
P 7.2651 0.6425 11.4045
P 10.2519 5.2583 7.6598
P 6.2249 2.4946 0.4511
P 9.0043 0.7703 6.2086
P 13.1620 3.5159 13.4437
P 11.6306 6.6418 2.5801
P 11.5788 1.7656 9.8197
O 4.1081 3.2789 4.7627
O 4.0793 -1.5629 11.9435
O 6.9477 5.9967 8.1313
O 2.9418 3.2208 0.8656
O 5.8315 5.6744 4.5459
O 5.7819 0.8906 11.7478
O 4.4713 1.2054 6.0989
O 6.5946 3.4583 8.4650
O 8.6500 3.9857 13.2770
O 3.7081 1.1180 3.6198
O 2.6475 0.6492 1.1271
O 7.9074 3.8815 10.7810
O 8.2334 6.1467 5.2012
O 8.1995 1.3565 12.3970
O 7.4444 6.0433 2.7288
O 7.4074 1.1780 9.9418
O 5.4367 -0.9099 7.4782
O 5.5919 3.9233 0.2323
O 6.0930 1.6678 4.3221
O 10.2831 4.4592 11.4940
O 7.6653 -0.8470 11.4467
O 7.7476 3.9710 4.1970
O 9.1914 4.1592 7.8807
O 5.1788 1.3828 0.6634
O 8.4402 1.3850 7.5106
O 7.1846 2.7283 1.6410
O 11.2393 5.4489 8.8294
O 8.6077 6.1427 0.3079
O 10.1276 6.9948 2.6970
O 10.0954 2.1721 9.8910
O 10.9477 4.8708 6.3245
O 8.9189 1.8740 5.0972
O 10.9451 0.0255 13.5899
O 13.0511 4.6281 12.3503
O 8.1013 -0.4494 5.8811
O 12.2731 2.2886 13.0813
O 8.3137 0.2826 2.9702
O 12.4762 2.9867 10.1914
O 11.7976 5.4895 3.6189
O 11.7114 0.6184 10.8702
O 13.9454 5.2118 9.7304
O 9.9889 2.3566 2.4820
O 10.4794 0.3717 6.2410
O 14.6490 3.1306 13.4448
O 12.1049 6.2181 1.1933
O 12.0415 1.3093 8.4383
O 13.5447 4.6796 7.2116
O 13.5509 -0.1952 14.4180
```

As for the crystal system: triclinic. The energy of formation from the pure elements is -2.620 eV/atom. As for the distance to the lowest polymorph of the same formula: 3.44 kJ/mol of atoms. The total energy comes out at -561.5 eV/cell.


(4)
Below is a geometry-optimized Li3MnVP3O12 structure, with properties calculated at the GGA+U level.

The structure in extended XYZ format:
```
80
Lattice="0.0000 8.4322 8.5898 5.9468 0.0000 8.5898 5.9468 8.4322 0.0000" Properties=species:S:1:pos:R:3 pbc="T T T"
Li 5.9979 3.1392 7.5309
Li 1.4867 2.1081 2.1474
Li 8.9713 7.3553 9.6486
Li 2.9223 3.1392 5.3538
Li 5.9979 9.5091 5.3538
Li 4.4601 6.3242 6.4423
Li 7.4335 10.5403 10.7372
Li 5.8957 7.3553 11.8257
Li 8.9713 13.7252 11.8257
Li 2.9223 9.5091 7.5309
Li 10.4069 14.7564 15.0321
Li 5.8957 13.7252 9.6486
Mn 0.0000 0.0000 0.0000
Mn 2.9734 4.2161 0.0000
Mn 2.9734 0.0000 4.2949
Mn 0.0000 4.2161 4.2949
V 5.9468 4.2161 4.2949
V 2.9734 8.4322 4.2949
V 2.9734 4.2161 8.5898
V 5.9468 8.4322 8.5898
P 7.4232 6.3242 6.4423
P 5.9234 7.3740 3.2261
P 2.9967 5.2743 3.2261
P 8.8968 9.4904 7.5210
P 10.3966 10.5403 10.7372
P 5.9234 5.2743 9.6585
P 5.9701 11.5901 7.5210
P 1.4970 6.3242 6.4423
P 2.9967 7.3740 9.6585
P 8.8968 11.5901 13.9534
P 5.9701 9.4904 13.9534
P 4.4704 10.5403 10.7372
O 3.5222 1.7648 3.3157
O 5.3871 2.5313 5.2452
O 5.3524 7.4026 1.7970
O 8.3714 5.9809 7.6106
O 3.5678 5.2457 1.7970
O 9.9523 8.3992 7.8088
O 6.4204 5.1586 6.0523
O 6.9789 8.4652 3.5140
O 4.0826 4.9768 4.3466
O 6.9789 4.1831 9.3707
O 5.3980 1.7648 9.5689
O 8.3258 9.4618 6.0919
O 1.9413 4.1831 3.5140
O 3.5331 2.5313 7.6394
O 4.8376 7.6715 4.3466
O 6.4204 7.4897 6.8324
O 5.3980 10.8835 3.3157
O 4.8376 4.9768 8.5380
O 7.8110 9.1929 8.6415
O 8.3605 6.7474 11.9343
O 6.5065 6.7474 9.5401
O 9.3938 9.3747 11.1273
O 2.4998 5.1586 6.8324
O 6.5412 11.6187 6.0919
O 5.3524 5.2457 11.0876
O 9.3938 11.7058 10.3471
O 2.4998 7.4897 6.0523
O 5.3871 10.1170 7.6394
O 3.5331 10.1170 5.2452
O 4.0826 7.6715 8.5380
O 7.0560 11.8876 8.6415
O 6.4956 5.9809 13.8638
O 5.4732 9.3747 10.3471
O 7.0560 9.1929 12.8329
O 8.3605 14.3331 9.5401
O 9.9523 12.6813 13.6655
O 3.5678 7.4026 11.0876
O 6.4956 15.0996 7.6106
O 4.9147 12.6813 7.8088
O 7.8110 11.8876 12.8329
O 4.9147 8.3992 13.6655
O 5.4732 11.7058 11.1273
O 1.9413 8.4652 9.3707
O 8.3258 11.6187 15.3825
O 3.5222 10.8835 9.5689
O 6.5412 9.4618 15.3825
O 6.5065 14.3331 11.9343
O 8.3714 15.0996 13.8638
```

As for the crystal system: orthorhombic. The energy of formation from the pure elements is -2.582 eV/atom. As for the distance to the lowest polymorph of the same formula: 7.11 kJ/mol of atoms. The total energy comes out at -558.4 eV/cell.